# Cr2P4Pb3O16 | the Materials Project | r²SCAN | relaxed
# Total DFT energy (no corrections)   -15.511 eV/atom
# Crystal system   tetragonal
# E_form   -2288.6 meV/atom
data_Cr2P4Pb3O16
_cell_length_a 8.970
_cell_length_b 8.970
_cell_length_c 16.578
_cell_angle_alpha 90.00
_cell_angle_beta 90.00
_cell_angle_gamma 90.00
_symmetry_space_group_name_H-M 'P 41 21 2'
_symmetry_Int_Tables_number 92
_symmetry_space_group_name_Hall 'P 4abw 2nw'
loop_
_atom_site_label
_atom_site_type_symbol
_atom_site_fract_x
_atom_site_fract_y
_atom_site_fract_z
Cr1 Cr 0.001 0.235 0.129
P1 P 0.005 0.725 0.828
P2 P 0.045 0.773 0.430
Pb1 Pb 0.076 0.344 0.764
Pb2 Pb 0.134 0.134 0.500
O1 O 0.014 0.270 0.013
O2 O 0.046 0.214 0.247
O3 O 0.074 0.851 0.880
O4 O 0.083 0.164 0.877
O5 O 0.087 0.632 0.381
O6 O 0.096 0.386 0.566
O7 O 0.121 0.823 0.065
O8 O 0.127 0.327 0.382